No. 1
Material: Na4Ni3P4O15
Method: DFT, PBE with a Hubbard U
State: optimized geometry

Values from the calculation:
MP2020-corrected energy = -721.35 eV per cell
Crystal system = orthorhombic
Uncorrected energy = -6.247 eV per atom
Formation energy from the elements = -2.38 eV/atom
M_tot = 6.0 μB/f.u.

a = 18.238 Å, b = 10.509 Å, c = 6.566 Å
α = 90.00°, β = 90.00°, γ = 90.00°
Space group Pna2_1 (No. 33)
Symmetry-distinct sites (fractional):
Na 0.006 0.025 0.000
Na 0.039 0.459 0.147
Na 0.109 0.736 0.400
Na 0.203 0.251 0.964
Ni 0.139 0.005 0.724
Ni 0.170 0.496 0.713
Ni 0.239 0.756 0.989
P 0.050 0.274 0.678
P 0.071 0.734 0.867
P 0.179 0.011 0.231
P 0.210 0.497 0.221
O 0.006 0.350 0.834
O 0.010 0.306 0.455
O 0.046 0.129 0.707
O 0.059 0.863 0.757
O 0.086 0.627 0.716
O 0.126 0.741 0.041
O 0.127 0.984 0.411
O 0.129 0.319 0.654
O 0.135 0.043 0.038
O 0.160 0.525 0.402
O 0.163 0.463 0.033
O 0.232 0.894 0.207
O 0.233 0.886 0.759
O 0.235 0.124 0.265
O 0.237 0.115 0.689


No. 2
Material: NaNi4P3O12
Method: DFT, PBE with a Hubbard U
State: optimized geometry

Values from the calculation:
MP2020-corrected energy = -573.39 eV per cell
Energy relative to the lowest polymorph listed for this composition = 2 meV/atom
Crystal system = orthorhombic
Uncorrected energy = -6.247 eV per atom
Formation energy from the elements = -2.16 eV/atom
M_tot = 8.0 μB/f.u.

a = 9.555 Å, b = 16.141 Å, c = 6.156 Å
α = 90.00°, β = 90.00°, γ = 90.00°
Space group Pnnm (No. 58)
Symmetry-distinct sites (fractional):
Na 0.221 0.035 0.000
Ni 0.006 0.141 0.500
Ni 0.035 0.593 0.000
Ni 0.248 0.296 0.250
P 0.043 0.660 0.500
P 0.044 0.218 0.000
P 0.207 0.965 0.500
O 0.094 0.613 0.300
O 0.106 0.180 0.209
O 0.106 0.310 0.000
O 0.115 0.751 0.500
O 0.117 0.776 0.000
O 0.119 0.329 0.500
O 0.133 0.480 0.000
O 0.137 0.049 0.500
O 0.161 0.911 0.297


> The highest M_tot belongs to which entry?

NaNi4P3O12


> Number 1 is which compound?

Na4Ni3P4O15


> What is the formation energy from the elements in the first record?

-2.38 eV/atom